MgSbOF3: optimized geometry, PBE-GGA.

excess energy over the best structure of this formula in the dataset	211	meV per atom
calculated formation energy	-253.6	kJ per mole of atoms
M_tot	0.000	μB per atom

Lattice parameters (Å, degrees): 5.2310 5.2310 5.2310 130.13 125.94 76.61
Last column: nearest neighbours and their distance in Å.
Element x y z (fractional)
Mg: 0.0000 0.0000 0.0000  2 F 1.91
Sb: 0.5000 0.5000 0.0000  4 F 2.20-2.38, 2 O 2.21
O: 0.5000 0.0000 0.5000  2 Sb 2.21, 2 Mg 2.38
F: 0.0000 0.5000 0.5000  2 Mg 2.21, 2 Sb 2.38
F: 0.2324 0.2324 0.0000  1 Mg 1.91
F: 0.7676 0.7676 0.0000  1 Mg 1.91